CaV2Bi2O10 PBE+U optimized geometry; final energy = -6.571 eV/atom
1.0
5.760 0.000 0.000
0.000 11.370 0.000
0.000 0.000 16.105
Ca V Bi O
4 8 8 40
direct
0.252 0.364 0.457
0.748 0.364 0.957
0.748 0.864 0.543
0.252 0.864 0.043
0.737 0.397 0.607
0.263 0.897 0.393
0.776 0.594 0.394
0.224 0.094 0.606
0.776 0.094 0.106
0.737 0.897 0.893
0.263 0.397 0.107
0.224 0.594 0.894
0.681 0.849 0.227
0.828 0.175 0.779
0.319 0.349 0.773
0.828 0.675 0.721
0.172 0.175 0.279
0.172 0.675 0.221
0.319 0.849 0.727
0.681 0.349 0.273
0.659 0.289 0.688
0.022 0.028 0.078
0.978 0.528 0.922
0.993 0.800 0.155
0.007 0.300 0.845
0.659 0.789 0.812
0.007 0.800 0.655
0.341 0.789 0.312
0.022 0.528 0.422
0.859 0.676 0.297
0.341 0.289 0.188
0.322 0.186 0.533
0.517 0.938 0.434
0.525 0.727 0.655
0.901 0.014 0.840
0.517 0.438 0.066
0.859 0.176 0.203
0.475 0.227 0.345
0.910 0.838 0.964
0.978 0.028 0.578
0.090 0.838 0.464
0.560 0.984 0.136
0.525 0.227 0.845
0.440 0.984 0.636
0.090 0.338 0.036
0.910 0.338 0.536
0.483 0.438 0.566
0.483 0.938 0.934
0.440 0.484 0.864
0.678 0.686 0.467
0.678 0.186 0.033
0.322 0.686 0.967
0.560 0.484 0.364
0.475 0.727 0.155
0.993 0.300 0.345
0.901 0.514 0.660
0.099 0.514 0.160
0.141 0.176 0.703
0.099 0.014 0.340
0.141 0.676 0.797


TiFe2O4 PBE+U optimized geometry; distance to the lowest polymorph of the same formula = 0 meV/atom
1.0
-3.772 -4.731 -0.877
-0.615 -4.161 4.432
-8.791 2.595 4.954
Ti Fe O
4 8 16
direct
0.012 0.988 0.500
0.488 0.512 0.000
0.750 0.250 0.250
0.750 0.250 0.750
0.750 0.750 0.750
0.250 0.750 0.750
0.184 0.185 0.942
0.316 0.315 0.558
0.250 0.250 0.250
0.250 0.750 0.250
0.685 0.684 0.442
0.815 0.816 0.058
0.098 0.119 0.146
0.402 0.381 0.354
0.619 0.599 0.646
0.881 0.901 0.853
0.085 0.137 0.626
0.637 0.585 0.126
0.415 0.363 0.874
0.863 0.915 0.374
0.169 0.597 0.110
0.098 0.669 0.610
0.331 0.903 0.390
0.402 0.831 0.890
0.627 0.155 0.126
0.656 0.127 0.626
0.873 0.345 0.374
0.844 0.373 0.874


KSrEuFeO6 PBE+U optimized geometry; final energy = -6.565 eV/atom
1.0
-4.548 3.042 -2.152
-5.326 -2.475 -0.274
-4.279 1.827 3.595
K Sr Eu Fe O
1 1 1 1 6
direct
0.750 0.750 0.750
0.250 0.250 0.250
0.000 0.000 0.000
0.500 0.500 0.500
0.731 0.269 0.269
0.269 0.731 0.731
0.731 0.269 0.731
0.269 0.731 0.269
0.731 0.731 0.269
0.269 0.269 0.731


Cr3Pb5F19 PBE+U optimized geometry; final energy = -5.396 eV/atom
1.0
10.593 3.865 0.000
-10.593 3.865 0.000
0.000 3.848 10.593
Cr Pb F
6 10 38
direct
0.176 0.853 0.500
0.354 0.354 0.825
0.676 0.676 0.176
0.853 0.176 0.500
0.311 0.812 0.000
0.812 0.311 0.000
0.340 0.340 0.502
0.057 0.249 0.162
0.748 0.411 0.309
0.840 0.840 0.500
0.249 0.057 0.162
0.913 0.723 0.839
0.723 0.913 0.839
0.411 0.748 0.309
0.220 0.559 0.691
0.559 0.220 0.691
0.579 0.363 0.501
0.919 0.641 0.633
0.141 0.274 0.780
0.941 0.286 0.634
0.505 0.505 0.646
0.051 0.773 0.367
0.418 0.738 0.982
0.232 0.715 0.181
0.419 0.552 0.221
0.274 0.141 0.780
0.441 0.578 0.846
0.715 0.232 0.181
0.738 0.418 0.982
0.286 0.941 0.634
0.719 0.719 0.993
0.217 0.711 0.500
0.420 0.075 0.365
0.773 0.051 0.367
0.151 0.006 0.499
0.912 0.388 0.820
0.065 0.558 0.000
0.867 0.867 0.715
0.388 0.912 0.820
0.648 0.648 0.355
0.212 0.212 0.007
0.075 0.420 0.365
0.363 0.579 0.501
0.578 0.441 0.846
0.558 0.065 0.000
0.921 0.786 0.154
0.711 0.217 0.500
0.552 0.419 0.221
0.641 0.919 0.633
0.786 0.921 0.154
0.884 0.204 0.024
0.006 0.151 0.499
0.080 0.080 0.283
0.204 0.884 0.024


Sr5Cr3ClO12 PBE+U optimized geometry; final energy = -6.679 eV/atom
1.0
-0.541 5.499 -8.700
-7.326 -6.911 2.192
-3.854 5.204 3.529
Sr Cr Cl O
10 6 2 24
direct
0.001 0.748 0.750
0.333 0.667 0.501
0.748 0.747 0.250
0.667 0.333 0.499
0.253 0.001 0.250
0.252 0.253 0.750
0.999 0.252 0.250
0.667 0.333 0.001
0.747 0.999 0.750
0.333 0.667 0.999
0.032 0.406 0.750
0.374 0.968 0.750
0.594 0.626 0.750
0.968 0.594 0.250
0.626 0.032 0.250
0.406 0.374 0.250
0.000 0.000 0.500
0.000 0.000 0.000
0.161 0.680 0.250
0.740 0.097 0.442
0.097 0.357 0.558
0.260 0.903 0.942
0.131 0.600 0.750
0.260 0.903 0.558
0.519 0.839 0.250
0.481 0.161 0.750
0.643 0.740 0.558
0.400 0.531 0.750
0.320 0.481 0.250
0.357 0.260 0.442
0.903 0.643 0.058
0.839 0.320 0.750
0.869 0.400 0.250
0.097 0.357 0.942
0.903 0.643 0.442
0.600 0.469 0.250
0.357 0.260 0.058
0.680 0.519 0.750
0.643 0.740 0.942
0.740 0.097 0.058
0.469 0.869 0.750
0.531 0.131 0.250


Cs2Tm2MgW4O16 PBE+U optimized geometry; distance to the lowest polymorph of the same formula = 0 meV/atom
1.0
4.186 5.140 -3.489
4.621 -5.541 -3.543
0.138 -0.045 -7.539
Cs Tm Mg W O
2 2 1 4 16
direct
0.763 0.133 0.806
0.227 0.859 0.220
0.246 0.797 0.746
0.756 0.201 0.267
0.991 0.483 0.374
0.290 0.324 0.697
0.688 0.684 0.307
0.701 0.682 0.802
0.322 0.308 0.188
0.375 0.269 0.921
0.623 0.731 0.061
0.781 0.602 0.559
0.222 0.394 0.441
0.645 0.912 0.629
0.365 0.078 0.372
0.024 0.314 0.901
0.981 0.680 0.103
0.377 0.615 0.563
0.610 0.389 0.443
0.376 0.591 0.960
0.644 0.404 0.030
0.268 0.073 0.758
0.738 0.935 0.236
0.974 0.756 0.703
0.020 0.270 0.297


DyCrC6N6O4 PBE+U optimized geometry; final energy = -7.426 eV/atom
1.0
-0.796 7.643 0.736
-4.725 -3.950 -4.653
-8.610 -1.893 10.350
Dy Cr C N O
2 2 12 12 8
direct
0.664 0.336 0.250
0.336 0.664 0.750
0.000 0.000 0.000
0.000 0.000 0.500
0.863 0.137 0.075
0.137 0.863 0.925
0.137 0.863 0.575
0.863 0.137 0.425
0.860 0.755 0.094
0.140 0.245 0.906
0.140 0.245 0.594
0.245 0.140 0.406
0.860 0.755 0.406
0.755 0.860 0.594
0.755 0.860 0.906
0.245 0.140 0.094
0.786 0.613 0.145
0.214 0.387 0.855
0.214 0.387 0.645
0.387 0.214 0.355
0.786 0.613 0.355
0.613 0.786 0.645
0.613 0.786 0.855
0.387 0.214 0.145
0.791 0.209 0.124
0.209 0.791 0.876
0.209 0.791 0.624
0.791 0.209 0.376
0.164 0.572 0.250
0.836 0.428 0.750
0.428 0.836 0.250
0.572 0.164 0.750
0.323 0.677 0.175
0.677 0.323 0.825
0.677 0.323 0.675
0.323 0.677 0.325


VPO4 PBE+U optimized geometry; final energy = -7.670 eV/atom
1.0
0.000 0.001 4.784
8.794 0.000 0.000
0.000 6.589 0.001
V P O
4 4 16
direct
0.000 0.000 0.500
0.500 0.500 0.000
0.000 0.000 0.000
0.500 0.500 0.500
0.476 0.176 0.250
0.976 0.324 0.750
0.024 0.676 0.250
0.524 0.824 0.750
0.785 0.117 0.250
0.285 0.383 0.750
0.715 0.616 0.250
0.215 0.884 0.750
0.950 0.145 0.750
0.450 0.355 0.250
0.550 0.645 0.750
0.050 0.855 0.250
0.332 0.122 0.055
0.332 0.121 0.445
0.832 0.378 0.555
0.832 0.379 0.945
0.168 0.621 0.055
0.168 0.622 0.445
0.668 0.879 0.555
0.668 0.878 0.945


NaMgMnO2 PBE+U optimized geometry; distance to the lowest polymorph of the same formula = 289 meV/atom
1.0
2.743 0.481 1.121
1.391 5.391 1.363
0.440 0.927 6.340
Na Mg Mn O
1 1 1 2
direct
0.486 0.503 0.511
0.501 0.005 0.495
0.006 0.996 0.998
0.275 0.944 0.271
0.732 0.053 0.724


Li2Fe5B3O13 PBE+U optimized geometry; final energy = -6.890 eV/atom
1.0
-1.758 2.410 -1.062
-0.124 -3.955 -8.769
-12.544 -9.420 -0.619
Li Fe B O
4 10 6 26
direct
0.250 0.513 0.761
0.750 0.434 0.951
0.250 0.566 0.049
0.750 0.487 0.239
0.250 0.143 0.001
0.250 0.666 0.375
0.750 0.999 0.195
0.750 0.918 0.437
0.750 0.794 0.689
0.250 0.206 0.311
0.250 0.082 0.563
0.250 0.001 0.805
0.750 0.334 0.625
0.750 0.857 0.999
0.750 0.261 0.818
0.250 0.632 0.575
0.750 0.702 0.880
0.250 0.298 0.120
0.750 0.368 0.425
0.250 0.739 0.182
0.750 0.261 0.907
0.250 0.484 0.584
0.750 0.384 0.748
0.250 0.871 0.201
0.750 0.803 0.351
0.250 0.736 0.492
0.250 0.677 0.652
0.750 0.023 0.059
0.750 0.631 0.817
0.750 0.639 0.972
0.250 0.146 0.143
0.750 0.095 0.290
0.750 0.949 0.568
0.250 0.051 0.432
0.250 0.905 0.710
0.750 0.854 0.857
0.250 0.361 0.028
0.250 0.369 0.183
0.250 0.977 0.941
0.750 0.323 0.348
0.750 0.264 0.508
0.250 0.197 0.649
0.750 0.129 0.799
0.250 0.616 0.252
0.750 0.516 0.416
0.250 0.739 0.093


Sr3Co2O6 PBE+U optimized geometry; distance to the lowest polymorph of the same formula = 0 meV/atom
1.0
4.801 2.772 3.569
-4.800 2.772 3.569
0.000 -5.543 3.569
Sr Co O
6 4 12
direct
0.619 0.881 0.250
0.881 0.250 0.619
0.250 0.619 0.881
0.119 0.750 0.381
0.750 0.381 0.119
0.381 0.119 0.750
0.500 0.500 0.500
0.000 0.000 0.000
0.250 0.250 0.250
0.750 0.750 0.750
0.530 0.217 0.405
0.217 0.405 0.530
0.405 0.530 0.217
0.030 0.905 0.717
0.905 0.717 0.030
0.717 0.030 0.905
0.470 0.783 0.595
0.783 0.595 0.470
0.595 0.470 0.783
0.970 0.095 0.283
0.095 0.283 0.970
0.283 0.970 0.095